Entry 1:
Entry from the Materials Project database: an optimized crystal structure of LiSe2O6 (PBE).

```
LiSe2O6
1.0
5.6259 0.0000 0.0000
0.0000 8.0702 0.0000
-3.8670 0.0000 6.3225
Li Se O
2 4 12
direct
0.0000 0.2489 0.0000
0.0000 0.7511 0.5000
0.3259 0.1282 0.7408
0.3259 0.8718 0.2408
0.6728 0.3775 0.2646
0.6728 0.6225 0.7646
0.1026 0.0152 0.5319
0.1026 0.9848 0.0319
0.1724 0.2725 0.8065
0.1724 0.7275 0.3065
0.4071 0.3155 0.2858
0.4071 0.6845 0.7857
0.5867 0.2032 0.7211
0.5867 0.7968 0.2211
0.8075 0.2282 0.1902
0.8075 0.7718 0.6902
0.9081 0.4870 0.4700
0.9081 0.5130 0.9700
```

Results
ΔE to the lowest computed polymorph: 0.126 eV/atom
formation enthalpy at 0 K: -105.2 kJ/mol of atoms

Entry 2:
Entry from the Materials Project database: an optimized crystal structure of LiSe2O6 (PBE).

```
LiSe2O6
1.0
6.1018 0.0000 0.0000
0.0000 6.2979 0.0000
-5.3688 0.0000 8.2133
Li Se O
2 4 12
direct
0.0000 0.1955 0.0000
0.0000 0.8045 0.5000
0.3898 0.0715 0.8728
0.3898 0.9285 0.3728
0.9090 0.2888 0.5116
0.9090 0.7112 0.0116
0.0485 0.4864 0.1030
0.0485 0.5136 0.6030
0.0801 0.0701 0.6570
0.0801 0.9299 0.1570
0.3113 0.2008 0.9873
0.3113 0.7992 0.4873
0.6103 0.2022 0.8580
0.6096 0.2679 0.4822
0.6096 0.7321 0.9822
0.6103 0.7978 0.3580
0.9237 0.2090 0.3583
0.9237 0.7910 0.8583
```

Results
ΔE to the lowest computed polymorph: 0.017 eV/atom
formation enthalpy at 0 K: -115.7 kJ/mol of atoms

Entry 3:
Entry from the Materials Project database: an optimized crystal structure of Li2SeO4 (PBE).

```
Li2SeO4
1.0
8.6343 0.0000 0.0000
-2.3255 8.7693 0.0000
-3.6121 -1.4299 8.2152
Li Se O
12 6 24
direct
0.0632 0.1771 0.3891
0.1556 0.3603 0.8112
0.2052 0.0929 0.9195
0.2506 0.5477 0.4634
0.3655 0.7282 0.0657
0.4220 0.0992 0.3611
0.5780 0.9008 0.6389
0.6345 0.2718 0.9343
0.7494 0.4523 0.5366
0.7948 0.9071 0.0805
0.8444 0.6397 0.1888
0.9368 0.8229 0.6109
0.1821 0.7833 0.3012
0.2155 0.3117 0.1834
0.3660 0.2670 0.6535
0.6340 0.7330 0.3465
0.7845 0.6883 0.8166
0.8179 0.2167 0.6988
0.0104 0.2118 0.1686
0.0195 0.8660 0.2450
0.0785 0.5926 0.2529
0.1852 0.3392 0.6038
0.2094 0.4270 0.0461
0.2766 0.1142 0.4950
0.3113 0.1770 0.1550
0.3150 0.8523 0.2091
0.3164 0.8026 0.5006
0.3381 0.4105 0.3698
0.3714 0.1877 0.8277
0.4526 0.5314 0.9500
0.5474 0.4686 0.0500
0.6286 0.8123 0.1723
0.6619 0.5895 0.6302
0.6836 0.1974 0.4994
0.6850 0.1477 0.7909
0.6887 0.8230 0.8450
0.7234 0.8858 0.5050
0.7906 0.5730 0.9538
0.8148 0.6608 0.3962
0.9215 0.4074 0.7471
0.9805 0.1340 0.7550
0.9896 0.7882 0.8314
```

Results
ΔE to the lowest computed polymorph: 0.510 eV/atom
formation enthalpy at 0 K: -129.4 kJ/mol of atoms

Entry 4:
Entry from the Materials Project database: an optimized crystal structure of LiTiSe2O2 (PBE).

```
LiTiSe2O2
1.0
3.4666 0.0000 0.0000
-1.7333 3.0021 0.0000
0.0000 0.0000 9.6153
Li Ti Se O
1 1 2 2
direct
0.0000 0.0000 0.0000
0.0000 0.0000 0.5000
0.3333 0.6667 0.6648
0.6667 0.3333 0.3352
0.3333 0.6667 0.0599
0.6667 0.3333 0.9401
```

Results
formation enthalpy at 0 K: -61.1 kJ/mol of atoms

Entry 5:
Entry from the Materials Project database: an optimized crystal structure of Li2U3Se2O20 (PBE).

```
Li2U3Se2O20
1.0
7.4759 0.0000 0.0000
0.0000 7.1927 0.0000
-1.5661 0.0000 17.5061
Li U Se O
4 6 4 40
direct
0.0372 0.0031 0.1327
0.0372 0.4969 0.6327
0.9628 0.5031 0.3673
0.9628 0.9969 0.8673
0.4680 0.5029 0.3940
0.4680 0.9971 0.8940
0.5000 0.0000 0.5000
0.5000 0.5000 0.0000
0.5320 0.0029 0.1060
0.5320 0.4971 0.6060
0.4063 0.5075 0.8010
0.4063 0.9925 0.3010
0.5937 0.0075 0.6990
0.5937 0.4925 0.1990
0.0058 0.0851 0.9951
0.0058 0.4149 0.4951
0.0301 0.6765 0.7473
0.0301 0.8235 0.2473
0.0377 0.1691 0.2452
0.0377 0.3309 0.7452
0.2184 0.5334 0.3856
0.2184 0.9666 0.8856
0.2598 0.5201 0.0016
0.2598 0.9799 0.5016
0.2876 0.5213 0.6209
0.2876 0.9787 0.1209
0.4194 0.1785 0.3636
0.4194 0.3215 0.8636
0.4247 0.5266 0.2575
0.4247 0.9734 0.7575
0.4865 0.1752 0.9989
0.4865 0.3248 0.4989
0.4980 0.6633 0.8692
0.4980 0.8367 0.3692
0.5020 0.1633 0.6308
0.5020 0.3367 0.1308
0.5135 0.6752 0.5011
0.5135 0.8248 0.0011
0.5753 0.0266 0.2425
0.5753 0.4734 0.7425
0.5806 0.6785 0.1364
0.5806 0.8215 0.6364
0.7124 0.0213 0.8791
0.7124 0.4787 0.3791
0.7402 0.0201 0.4984
0.7402 0.4799 0.9984
0.7816 0.0334 0.1144
0.7816 0.4666 0.6144
0.9623 0.6691 0.2548
0.9623 0.8309 0.7548
0.9699 0.1765 0.7527
0.9699 0.3235 0.2527
0.9942 0.5851 0.5049
0.9942 0.9149 0.0049
```

Results
formation enthalpy at 0 K: -179.6 kJ/mol of atoms

Entry 6:
Entry from the Materials Project database: an optimized crystal structure of LiZr2Se2O2 (PBE).

```
LiZr2Se2O2
1.0
3.6140 0.0000 0.0000
0.0000 3.6140 0.0000
0.0000 0.0000 8.8039
Li Zr Se O
1 2 2 2
direct
0.0000 0.0000 0.0000
0.0000 0.0000 0.2680
0.5000 0.5000 0.9206
0.0000 0.0000 0.7432
0.5000 0.5000 0.3993
0.0000 0.5000 0.0625
0.5000 0.0000 0.0625
```

Results
ΔE to the lowest computed polymorph: 0.353 eV/atom
formation enthalpy at 0 K: -187.5 kJ/mol of atoms

- Number 6 is which compound?
  LiZr2Se2O2